# 1
# Li4Co5SnO12 (PBE with a Hubbard U, relaxed)
data_Li4Co5SnO12
_cell_length_a 5.131
_cell_length_b 8.659
_cell_length_c 10.804
_cell_angle_alpha 113.44
_cell_angle_beta 94.36
_cell_angle_gamma 90.16
_space_group_name_H-M_alt 'P 1'
_space_group_IT_number 1
loop_
_space_group_symop_operation_xyz
'x,y,z'
loop_
_atom_site_label
_atom_site_type_symbol
_atom_site_fract_x
_atom_site_fract_y
_atom_site_fract_z
_atom_site_occupancy
Li1 Li 0.000 0.000 0.000 1
Li2 Li 0.005 0.345 0.999 1
Li3 Li 0.084 0.265 0.511 1
Li4 Li 0.096 0.598 0.515 1
Li5 Li 0.500 0.840 0.001 1
Li6 Li 0.511 0.504 0.000 1
Li7 Li 0.581 0.751 0.516 1
Li8 Li 0.590 0.097 0.512 1
Co1 Co 0.047 0.134 0.256 1
Co2 Co 0.047 0.466 0.257 1
Co3 Co 0.295 0.217 0.757 1
Co4 Co 0.295 0.883 0.760 1
Co5 Co 0.298 0.550 0.755 1
Co6 Co 0.547 0.638 0.257 1
Co7 Co 0.548 0.970 0.256 1
Co8 Co 0.789 0.714 0.753 1
Co9 Co 0.796 0.054 0.757 1
Co10 Co 0.797 0.385 0.755 1
Sn1 Sn 0.048 0.801 0.257 1
Sn2 Sn 0.547 0.302 0.256 1
O1 O 0.124 0.108 0.856 1
O2 O 0.144 0.428 0.852 1
O3 O 0.174 0.773 0.863 1
O4 O 0.208 0.353 0.363 1
O5 O 0.226 0.678 0.370 1
O6 O 0.245 0.033 0.364 1
O7 O 0.350 0.071 0.149 1
O8 O 0.372 0.426 0.143 1
O9 O 0.387 0.750 0.148 1
O10 O 0.430 0.659 0.647 1
O11 O 0.449 0.331 0.659 1
O12 O 0.460 0.006 0.661 1
O13 O 0.640 0.597 0.854 1
O14 O 0.673 0.935 0.861 1
O15 O 0.676 0.277 0.861 1
O16 O 0.709 0.858 0.364 1
O17 O 0.725 0.538 0.369 1
O18 O 0.745 0.178 0.363 1
O19 O 0.849 0.925 0.149 1
O20 O 0.872 0.566 0.144 1
O21 O 0.887 0.245 0.148 1
O22 O 0.916 0.172 0.650 1
O23 O 0.919 0.836 0.654 1
O24 O 0.955 0.498 0.657 1
# volume: 439 Å³/cell
# energy of formation: -1652 meV per atom
# VASP energy: -5.749 eV per atom
# total magnetization: 1.0 μB/f.u.
# calculated density: 4.79 g/cm³
# energy above the most stable polymorph in this dataset: 25 meV per atom

***

# 2
# BaCaMnWO6 (PBE with a Hubbard U, relaxed)
data_BaCaMnWO6
_cell_length_a 8.215
_cell_length_b 8.215
_cell_length_c 8.215
_cell_angle_alpha 90.00
_cell_angle_beta 90.00
_cell_angle_gamma 90.00
_space_group_name_H-M_alt 'F -4 3 m'
_space_group_IT_number 216
_space_group_name_Hall 'F -4 2 3'
loop_
_atom_site_label
_atom_site_type_symbol
_atom_site_fract_x
_atom_site_fract_y
_atom_site_fract_z
_atom_site_occupancy
Ba1 Ba 0.000 0.000 0.000 1
Ca1 Ca 0.000 0.000 0.500 1
Mn1 Mn 0.250 0.250 0.750 1
W1 W 0.250 0.250 0.250 1
O1 O 0.013 0.250 0.250 1
# volume: 554 Å³/cell
# energy of formation: -2670 meV per atom
# VASP energy: -7.221 eV per atom
# total magnetization: 5.0 μB/f.u.
# calculated density: 6.14 g/cm³

***

# 3
# LiVPO5 (PBE with a Hubbard U, relaxed)
data_LiVPO5
_cell_length_a 4.976
_cell_length_b 10.465
_cell_length_c 7.223
_cell_angle_alpha 90.00
_cell_angle_beta 109.79
_cell_angle_gamma 90.00
_space_group_name_H-M_alt 'P 1 21/c 1'
_space_group_IT_number 14
loop_
_space_group_symop_operation_xyz
'x,y,z'
'-x,-y,-z'
'-x,y+1/2,-z+1/2'
'x,-y+1/2,z+1/2'
loop_
_atom_site_label
_atom_site_type_symbol
_atom_site_fract_x
_atom_site_fract_y
_atom_site_fract_z
_atom_site_occupancy
Li1 Li 0.037 0.105 0.164 1
V1 V 0.420 0.078 0.820 1
P1 P 0.198 0.650 0.973 1
O1 O 0.116 0.190 0.652 1
O2 O 0.200 0.573 0.156 1
O3 O 0.266 0.041 0.999 1
O4 O 0.325 0.570 0.842 1
O5 O 0.355 0.723 0.534 1
# volume: 354 Å³/cell
# energy of formation: -2639 meV per atom
# VASP energy: -7.140 eV per atom
# total magnetization: 1.0 μB/f.u.
# calculated density: 3.17 g/cm³
# energy above the most stable polymorph in this dataset: 28 meV per atom

***

# 4
# Li4Co3P4O15 (PBE with a Hubbard U, relaxed)
data_Li4Co3P4O15
_cell_length_a 17.531
_cell_length_b 10.457
_cell_length_c 6.437
_cell_angle_alpha 90.00
_cell_angle_beta 90.00
_cell_angle_gamma 90.00
_space_group_name_H-M_alt 'P n a 21'
_space_group_IT_number 33
loop_
_space_group_symop_operation_xyz
'x,y,z'
'-x,-y,z+1/2'
'-x+1/2,y+1/2,z+1/2'
'x+1/2,-y+1/2,z'
loop_
_atom_site_label
_atom_site_type_symbol
_atom_site_fract_x
_atom_site_fract_y
_atom_site_fract_z
_atom_site_occupancy
Li1 Li 0.006 0.020 0.000 1
Li2 Li 0.035 0.451 0.872 1
Li3 Li 0.096 0.682 0.616 1
Li4 Li 0.203 0.256 0.043 1
Co1 Co 0.134 0.005 0.270 1
Co2 Co 0.166 0.500 0.277 1
Co3 Co 0.240 0.758 0.003 1
P1 P 0.049 0.274 0.311 1
P2 P 0.062 0.740 0.138 1
P3 P 0.173 0.019 0.766 1
P4 P 0.205 0.496 0.775 1
O1 O 0.006 0.369 0.173 1
O2 O 0.021 0.309 0.549 1
O3 O 0.031 0.133 0.275 1
O4 O 0.046 0.872 0.236 1
O5 O 0.079 0.638 0.303 1
O6 O 0.119 0.739 0.959 1
O7 O 0.120 0.998 0.579 1
O8 O 0.124 0.044 0.962 1
O9 O 0.135 0.303 0.310 1
O10 O 0.151 0.519 0.592 1
O11 O 0.155 0.461 0.964 1
O12 O 0.229 0.902 0.789 1
O13 O 0.230 0.135 0.746 1
O14 O 0.235 0.887 0.242 1
O15 O 0.242 0.116 0.300 1
# volume: 1180 Å³/cell
# energy of formation: -2390 meV per atom
# VASP energy: -6.606 eV per atom
# total magnetization: 9.0 μB/f.u.
# calculated density: 3.20 g/cm³

***

Question: Which of these has the highest calculated density?
Answer: BaCaMnWO6

***

Question: What is the calculated density in the second record?
Answer: 6.14 g/cm³

***

Question: The highest VASP energy belongs to which entry?
Answer: Li4Co5SnO12

***

Repeat the first record exactly.
# Li4Co5SnO12 (PBE with a Hubbard U, relaxed)
data_Li4Co5SnO12
_cell_length_a 5.131
_cell_length_b 8.659
_cell_length_c 10.804
_cell_angle_alpha 113.44
_cell_angle_beta 94.36
_cell_angle_gamma 90.16
_space_group_name_H-M_alt 'P 1'
_space_group_IT_number 1
loop_
_space_group_symop_operation_xyz
'x,y,z'
loop_
_atom_site_label
_atom_site_type_symbol
_atom_site_fract_x
_atom_site_fract_y
_atom_site_fract_z
_atom_site_occupancy
Li1 Li 0.000 0.000 0.000 1
Li2 Li 0.005 0.345 0.999 1
Li3 Li 0.084 0.265 0.511 1
Li4 Li 0.096 0.598 0.515 1
Li5 Li 0.500 0.840 0.001 1
Li6 Li 0.511 0.504 0.000 1
Li7 Li 0.581 0.751 0.516 1
Li8 Li 0.590 0.097 0.512 1
Co1 Co 0.047 0.134 0.256 1
Co2 Co 0.047 0.466 0.257 1
Co3 Co 0.295 0.217 0.757 1
Co4 Co 0.295 0.883 0.760 1
Co5 Co 0.298 0.550 0.755 1
Co6 Co 0.547 0.638 0.257 1
Co7 Co 0.548 0.970 0.256 1
Co8 Co 0.789 0.714 0.753 1
Co9 Co 0.796 0.054 0.757 1
Co10 Co 0.797 0.385 0.755 1
Sn1 Sn 0.048 0.801 0.257 1
Sn2 Sn 0.547 0.302 0.256 1
O1 O 0.124 0.108 0.856 1
O2 O 0.144 0.428 0.852 1
O3 O 0.174 0.773 0.863 1
O4 O 0.208 0.353 0.363 1
O5 O 0.226 0.678 0.370 1
O6 O 0.245 0.033 0.364 1
O7 O 0.350 0.071 0.149 1
O8 O 0.372 0.426 0.143 1
O9 O 0.387 0.750 0.148 1
O10 O 0.430 0.659 0.647 1
O11 O 0.449 0.331 0.659 1
O12 O 0.460 0.006 0.661 1
O13 O 0.640 0.597 0.854 1
O14 O 0.673 0.935 0.861 1
O15 O 0.676 0.277 0.861 1
O16 O 0.709 0.858 0.364 1
O17 O 0.725 0.538 0.369 1
O18 O 0.745 0.178 0.363 1
O19 O 0.849 0.925 0.149 1
O20 O 0.872 0.566 0.144 1
O21 O 0.887 0.245 0.148 1
O22 O 0.916 0.172 0.650 1
O23 O 0.919 0.836 0.654 1
O24 O 0.955 0.498 0.657 1
# volume: 439 Å³/cell
# energy of formation: -1652 meV per atom
# VASP energy: -5.749 eV per atom
# total magnetization: 1.0 μB/f.u.
# calculated density: 4.79 g/cm³
# energy above the most stable polymorph in this dataset: 25 meV per atom